Model one:
A plane-wave DFT calculation with PBE with a Hubbard U was carried out for crystalline LiMnSiO4 at its relaxed geometry.

Total magnetization ... 8.00 Bohr magnetons per cell

a b c (Å): 5.8864 5.8864 5.8864
angles (deg): 124.89 121.23 84.81
Last column: nearest neighbours and their distance in Å.
Sites, in units of the cell vectors:
O1 0.7876 0.7740 0.4863  1 Si 1.85, 2 Mn 1.96, 1 Li 1.97
O2 0.2116 0.7530 0.4585  2 Si 1.82, 1 Li 2.02
O3 0.2124 0.2260 0.5137  1 Si 1.85, 2 Mn 1.96, 1 Li 1.97
O4 0.7876 0.3013 0.0137  1 Si 1.85, 2 Mn 1.96, 1 Li 1.97
Si1 0.0000 0.5000 0.0000  6 O 1.82-1.85
O5 0.7884 0.2470 0.5415  2 Si 1.82, 1 Li 2.02
Mn1 0.0000 0.5000 0.5000  4 O 1.96
Mn2 0.5000 0.5000 0.0000  4 O 1.96
O6 0.2055 0.2470 0.9585  2 Si 1.82, 1 Li 2.02
Li1 0.3679 0.1179 0.2500  4 O 1.97-2.02
O7 0.7945 0.7530 0.0415  2 Si 1.82, 1 Li 2.02
Li2 0.6321 0.8821 0.7500  4 O 1.97-2.02
O8 0.2124 0.6987 0.9863  1 Si 1.85, 2 Mn 1.96, 1 Li 1.97
Si2 0.0000 0.0000 0.5000  6 O 1.82-1.85

=====

Model two:
A plane-wave DFT calculation with PBE with a Hubbard U was carried out for crystalline LiMnSiO4 at its relaxed geometry.

Total magnetization ... 16.00 Bohr magnetons per cell

a b c (Å): 6.0273 10.0436 4.8114
angles (deg): 90.00 90.03 90.00
Last column: nearest neighbours and their distance in Å.
Sites, in units of the cell vectors:
O1 0.7422 0.4572 0.5327  1 Si 1.67
O2 0.0114 0.1927 0.4773  1 Si 1.63
Si1 0.4794 0.8908 0.3143  4 O 1.63-1.67
Li1 0.2651 0.2995 0.2491  6 O 2.11-2.22
O3 0.2577 0.9572 0.4672  1 Si 1.66
O4 0.6833 0.9702 0.4796  1 Si 1.67
O5 0.2404 0.1359 0.9684  1 Si 1.67
Si2 0.5205 0.3908 0.6857  4 O 1.63-1.67
Li2 0.7348 0.7995 0.7508  6 O 2.11-2.22
O6 0.4872 0.9011 0.9760  1 Si 1.63
O7 0.9843 0.8575 0.0651  1 Si 1.65
Li3 0.7640 0.2937 0.2526  6 O 2.10-2.25
Mn1 0.9973 0.0225 0.2698  4 O 1.93-2.05
O8 0.9885 0.6928 0.5226  1 Si 1.63
Mn2 0.0025 0.5226 0.7305  4 O 1.93-2.05
O9 0.0156 0.3575 0.9347  1 Si 1.65
Si3 0.0195 0.2036 0.8154  4 O 1.63-1.67
O10 0.5123 0.2371 0.5655  1 Si 1.65
Li4 0.2359 0.7937 0.7472  6 O 2.10-2.25
Mn3 0.5006 0.0717 0.7693  4 O 1.93-2.05
O11 0.1856 0.6254 0.0193  1 Si 1.67
O12 0.7596 0.6359 0.0316  1 Si 1.67
O13 0.3168 0.4702 0.5203  1 Si 1.67
O14 0.4877 0.7371 0.4346  1 Si 1.65
O15 0.5128 0.4011 0.0240  1 Si 1.63
O16 0.8144 0.1254 0.9805  1 Si 1.67
Mn4 0.5000 0.5716 0.2314  4 O 1.93-2.05
Si4 0.9805 0.7036 0.1844  4 O 1.63-1.67

=====

Model three:
A plane-wave DFT calculation with PBE with a Hubbard U was carried out for crystalline LiMnSiO4 at its relaxed geometry.

Total magnetization ... 48.00 Bohr magnetons per cell

a b c (Å): 18.8975 8.1207 5.5501
angles (deg): 90.00 89.98 90.00
Last column: nearest neighbours and their distance in Å.
Sites, in units of the cell vectors:
Mn1 0.8332 0.7501 0.5168  4 O 1.90-2.12
O1 0.0831 0.7812 0.7496  1 Si 1.69
O2 0.7491 0.7734 0.7893  1 Si 1.65
O3 0.0836 0.7737 0.2242  1 Si 1.65
Si1 0.0836 0.4046 0.5041  4 O 1.63-1.67
Si2 0.5836 0.0954 0.5042  4 O 1.63-1.67
O4 0.9189 0.7228 0.2399  1 Si 1.67
O5 0.0123 0.5179 0.4961  1 Si 1.63
O6 0.5831 0.7188 0.7497  1 Si 1.69
O7 0.4164 0.2737 0.7243  1 Si 1.65
O8 0.7494 0.2804 0.7634  1 Si 1.69
O9 0.5116 0.4838 0.9917  1 Si 1.63
O10 0.8216 0.5170 0.5159  1 Si 1.63
O11 0.5836 0.7262 0.2242  1 Si 1.65
Li1 0.7504 0.0781 0.5175  4 O 1.96-2.14
Mn2 0.4995 0.2509 0.9905  3 O 1.90-2.09
O12 0.9143 0.7222 0.7665  1 Si 1.67
Mn3 0.0004 0.7509 0.4906  3 O 1.90-2.09
O13 0.2491 0.7266 0.7893  1 Si 1.65
O14 0.6552 0.9830 0.5150  1 Si 1.63
O15 0.6545 0.4828 0.0062  1 Si 1.63
O16 0.0116 0.0162 0.9917  1 Si 1.63
O17 0.4189 0.7772 0.2400  1 Si 1.67
O18 0.0858 0.2778 0.2665  1 Si 1.67
Li2 0.0830 0.5759 0.0073  3 O 1.96-2.01
Mn4 0.6669 0.7499 0.5102  4 O 1.91-2.11
Li3 0.4164 0.5789 0.0005  4 O 1.96-2.09
Si3 0.9164 0.5954 0.0041  4 O 1.63-1.67
O19 0.5857 0.2222 0.2665  1 Si 1.67
Si4 0.4167 0.4038 0.4948  4 O 1.63-1.69
Si5 0.5833 0.5962 0.9948  4 O 1.63-1.69
O20 0.7510 0.2734 0.2894  1 Si 1.65
O21 0.1552 0.5170 0.5151  1 Si 1.63
O22 0.3448 0.0170 0.0151  1 Si 1.63
O23 0.4169 0.2811 0.2497  1 Si 1.69
Mn5 0.6667 0.2502 0.0168  4 O 1.90-2.12
Mn6 0.1669 0.7501 0.5102  4 O 1.91-2.11
O24 0.2506 0.7197 0.2634  1 Si 1.69
Li4 0.2496 0.9220 0.0174  4 O 1.96-2.14
Li5 0.9164 0.9211 0.0004  4 O 1.96-2.09
Li6 0.4170 0.0759 0.5073  3 O 1.96-2.01
O25 0.7506 0.7803 0.2633  1 Si 1.69
O26 0.3216 0.9830 0.5159  1 Si 1.63
O27 0.4884 0.5162 0.4918  1 Si 1.63
O28 0.1545 0.0172 0.0062  1 Si 1.63
O29 0.2510 0.2266 0.2894  1 Si 1.65
Mn7 0.3332 0.7499 0.5168  4 O 1.91-2.12
O30 0.4877 0.0180 0.9961  1 Si 1.63
O31 0.9169 0.2189 0.2496  1 Si 1.69
Mn8 0.3330 0.2501 0.0104  4 O 1.91-2.11
Mn9 0.5005 0.7490 0.4907  3 O 1.90-2.09
Si6 0.9168 0.0962 0.4947  4 O 1.63-1.69
O32 0.3455 0.5172 0.5062  1 Si 1.63
Si7 0.7502 0.4038 0.5183  4 O 1.63-1.69
O33 0.8212 0.0167 0.0078  1 Si 1.63
Li7 0.9170 0.4241 0.5073  3 O 1.96-2.01
O34 0.3212 0.4833 0.0079  1 Si 1.63
O35 0.8455 0.9828 0.5062  1 Si 1.63
Li8 0.7496 0.5781 0.0174  4 O 1.96-2.14
O36 0.9877 0.4820 0.9960  1 Si 1.63
O37 0.5123 0.9820 0.4962  1 Si 1.63
O38 0.1784 0.4830 0.0159  1 Si 1.63
Si8 0.7498 0.9038 0.0182  4 O 1.63-1.69
O39 0.5810 0.2227 0.7399  1 Si 1.67
Si9 0.4164 0.9046 0.0042  4 O 1.63-1.67
O40 0.4143 0.7778 0.7667  1 Si 1.67
Si10 0.2498 0.5962 0.0183  4 O 1.63-1.69
Si11 0.2502 0.0962 0.5183  4 O 1.63-1.69
Mn10 0.1668 0.2500 0.0169  4 O 1.91-2.12
Li9 0.5836 0.4211 0.5004  4 O 1.96-2.09
O41 0.0810 0.2772 0.7399  1 Si 1.67
O42 0.1788 0.9834 0.5078  1 Si 1.63
O43 0.6784 0.0170 0.0159  1 Si 1.63
O44 0.6788 0.5167 0.5078  1 Si 1.63
Mn11 0.8331 0.2499 0.0103  4 O 1.91-2.11
O45 0.9164 0.2263 0.7242  1 Si 1.66
Li10 0.5830 0.9241 0.0073  3 O 1.96-2.01
Li11 0.2504 0.4219 0.5175  4 O 1.96-2.14
Li12 0.0836 0.0789 0.5004  4 O 1.96-2.09
O46 0.9884 0.9837 0.4917  1 Si 1.63
Si12 0.0833 0.9038 0.9947  4 O 1.63-1.69
O47 0.8448 0.4830 0.0151  1 Si 1.63
Mn12 0.9995 0.2490 0.9905  3 O 1.90-2.09
O48 0.2494 0.2197 0.7634  1 Si 1.69

=====

Model four:
A plane-wave DFT calculation with PBE with a Hubbard U was carried out for crystalline LiMnSiO4 at its relaxed geometry.

Total magnetization ... 0.00 Bohr magnetons per cell

a b c (Å): 5.6807 9.6672 5.6807
angles (deg): 104.83 63.18 104.83
Last column: nearest neighbours and their distance in Å.
Sites, in units of the cell vectors:
O1 0.8780 0.6354 0.3779  1 Si 1.67
Si1 0.9328 0.8171 0.4328  4 O 1.67
Li1 0.5002 0.0000 0.9999  6 O 2.01-2.14
O2 0.6136 0.3712 0.1138  1 Si 1.67
Li2 0.0002 0.5000 0.4999  6 O 2.01-2.14
O3 0.1401 0.3770 0.1056  1 Si 1.67
O4 0.3945 0.6229 0.3597  1 Si 1.67
O5 0.3859 0.6286 0.8862  1 Si 1.67
Si2 0.5671 0.6830 0.0672  4 O 1.67
O6 0.1221 0.3645 0.6221  1 Si 1.67
Si3 0.4327 0.3171 0.9328  4 O 1.67
Mn1 0.9993 0.4997 0.0001  6 O 1.92-2.13
Mn2 0.0004 0.0001 0.0000  6 O 1.92-2.12
O7 0.1057 0.8771 0.1402  1 Si 1.67
O8 0.8946 0.1229 0.8597  1 Si 1.67
Li3 0.2500 0.7500 0.7499  6 O 2.01-2.14
Li4 0.7500 0.2500 0.2499  6 O 2.01-2.14
Mn3 0.4999 0.5001 0.5002  6 O 1.92-2.13
Si4 0.0672 0.1830 0.5672  4 O 1.67
Mn4 0.5002 0.0002 0.5001  6 O 1.92-2.13
O9 0.6222 0.8646 0.1220  1 Si 1.67
O10 0.3781 0.1355 0.8779  1 Si 1.67
O11 0.8863 0.1287 0.3862  1 Si 1.67
O12 0.3597 0.1230 0.3944  1 Si 1.67
O13 0.1139 0.8714 0.6138  1 Si 1.67
O14 0.8595 0.6229 0.8945  1 Si 1.67
O15 0.6056 0.3771 0.6403  1 Si 1.67
O16 0.6403 0.8771 0.6055  1 Si 1.67

=====

Which is most stable, and by how much? model two, by 25 meV per atom.